The following is a PBE calculation of a relaxed Rb3Ti3Te11 crystal, from the Materials Project.

Cell and atoms, written as POSCAR:
```
Rb3Ti3Te11
1.0
-14.190 -4.175 5.175
4.453 -3.927 9.042
2.722 9.662 15.258
Te Rb Ti
44 12 12
Cartesian
2.933 7.318 19.181 Te
-0.688 -3.390 11.276 Te
2.214 -1.506 12.633 Te
-7.436 -5.296 15.515 Te
-12.012 -2.603 9.038 Te
-4.624 0.240 16.478 Te
-9.948 -5.758 10.295 Te
-0.891 3.696 13.894 Te
0.421 6.857 13.961 Te
3.086 2.151 18.025 Te
-4.581 -2.207 19.075 Te
-2.392 1.321 12.998 Te
-6.124 -2.136 15.582 Te
-8.553 -2.592 18.859 Te
1.132 2.607 21.153 Te
-5.094 -2.230 4.910 Te
-4.519 2.242 27.178 Te
-1.438 -2.161 14.659 Te
-11.258 -3.462 12.023 Te
-2.496 -0.682 2.298 Te
-8.147 -1.046 8.323 Te
-1.921 3.791 24.565 Te
-2.434 3.767 10.400 Te
-1.359 -0.872 5.939 Te
0.062 4.824 17.838 Te
-3.331 0.342 22.143 Te
-5.656 2.433 23.537 Te
-8.287 0.540 15.854 Te
-5.577 3.721 14.816 Te
4.997 4.163 20.438 Te
-8.122 -3.842 7.668 Te
-3.684 1.218 7.333 Te
1.538 4.152 10.617 Te
-6.327 4.951 18.200 Te
-7.077 -3.264 11.637 Te
1.107 5.403 21.808 Te
-3.156 -1.585 12.026 Te
1.272 1.020 13.622 Te
-10.101 -0.590 11.451 Te
-0.154 0.330 9.792 Te
4.243 5.023 17.453 Te
-6.861 1.231 19.684 Te
-3.859 3.145 17.450 Te
-9.229 3.066 16.843 Te
3.300 4.480 13.889 Rb
-8.604 4.310 21.545 Rb
1.589 -2.749 7.931 Rb
-10.316 -2.919 15.587 Rb
-2.812 6.552 16.050 Rb
-6.797 -1.324 22.497 Rb
-0.218 2.885 6.979 Rb
-4.423 -2.223 8.580 Rb
-2.592 3.784 20.896 Rb
-0.681 1.014 16.884 Rb
-4.203 -4.992 13.426 Rb
-6.334 0.547 12.592 Rb
2.273 4.522 19.422 Ti
-6.387 -4.001 17.764 Ti
-3.732 0.217 4.719 Ti
-0.628 5.561 11.712 Ti
-7.159 -5.355 9.986 Ti
-0.228 2.376 11.500 Ti
-3.283 1.343 24.757 Ti
-0.477 -0.718 12.299 Ti
-6.539 2.278 17.176 Ti
-6.787 -0.815 17.976 Ti
-9.289 -2.961 10.054 Ti
0.144 6.916 19.489 Ti
```

Calculated values
E_form: -0.99 eV per atom
Energy with MP2020 corrections: -4.594 eV/atom
V: 2549 Å³/cell

---

The following is a PBE calculation of a relaxed RbU3TiTe9 crystal, from the Materials Project.

Cell and atoms, written as POSCAR:
```
RbU3TiTe9
1.0
6.115 0.000 0.000
0.000 8.357 0.000
0.000 2.059 17.436
Te Ti U Rb
18 2 6 2
Cartesian
1.529 6.241 1.084 Te
4.587 8.302 16.353 Te
3.070 8.374 12.206 Te
0.012 2.042 5.231 Te
3.069 4.124 12.220 Te
1.529 2.100 9.355 Te
1.529 2.114 1.083 Te
4.587 4.175 16.352 Te
4.587 4.191 8.041 Te
3.046 6.292 5.216 Te
6.104 4.124 12.220 Te
1.529 2.060 15.048 Te
3.046 2.042 5.231 Te
6.103 8.374 12.206 Te
4.587 8.316 8.082 Te
4.587 8.356 2.389 Te
1.529 6.225 9.395 Te
0.012 6.292 5.216 Te
3.058 0.000 0.000 Ti
0.000 0.000 0.000 Ti
1.529 4.171 7.059 U
4.587 2.082 10.315 U
1.529 8.334 7.121 U
4.587 6.245 10.378 U
1.529 8.355 3.246 U
4.587 2.061 14.190 U
4.587 4.171 2.233 Rb
1.529 6.246 15.203 Rb
```

Calculated values
E_form: -1.02 eV per atom
Energy with MP2020 corrections: -6.091 eV/atom
V: 891 Å³/cell

---

The following is a PBE calculation of a relaxed RbYTe2 crystal, from the Materials Project.

Cell and atoms, written as POSCAR:
```
RbYTe2
1.0
2.262 -3.918 0.000
2.262 3.918 0.000
0.000 0.000 17.167
Rb Y Te
2 2 4
Cartesian
2.262 -1.306 12.875 Rb
2.262 1.306 4.292 Rb
0.000 0.000 8.584 Y
0.000 0.000 0.000 Y
2.262 -1.306 1.712 Te
2.262 1.306 10.296 Te
2.262 1.306 15.455 Te
2.262 -1.306 6.871 Te
```

Calculated values
E_form: -1.60 eV per atom
Energy with MP2020 corrections: -5.036 eV/atom
V: 304 Å³/cell

---

The following is a PBE calculation of a relaxed RbZr12Te16 crystal, from the Materials Project.

Cell and atoms, written as POSCAR:
```
RbZr12Te16
1.0
-1.294 -1.108 -11.058
-6.067 -6.277 6.999
-11.291 11.142 0.205
Rb Zr Te
2 24 32
Cartesian
-8.555 -0.528 1.054 Rb
-11.687 2.563 1.111 Rb
-7.571 3.743 -6.581 Zr
-7.181 -1.575 -5.423 Zr
-10.876 6.017 -2.828 Zr
-6.601 1.972 -9.397 Zr
-5.185 0.401 -2.932 Zr
-10.346 9.330 -1.912 Zr
-7.492 6.545 -1.994 Zr
-1.863 0.959 -2.067 Zr
-10.380 6.587 -6.506 Zr
-12.901 1.090 -3.393 Zr
-2.404 -2.381 -2.959 Zr
-4.689 0.972 -6.609 Zr
-3.737 -0.804 -9.445 Zr
-4.687 3.776 -2.045 Zr
-9.407 4.740 -9.345 Zr
-15.751 3.880 -3.375 Zr
-4.386 -4.343 -5.509 Zr
-10.022 1.236 -5.316 Zr
-1.865 -1.768 -6.649 Zr
-12.220 7.567 -9.290 Zr
-12.871 4.041 -5.320 Zr
-10.095 -1.679 -3.444 Zr
-7.999 3.242 -2.913 Zr
-7.268 -4.491 -3.529 Zr
-6.161 5.128 -4.191 Te
-6.525 1.891 -0.814 Te
-3.578 -3.473 -8.303 Te
0.000 0.000 0.000 Te
-4.280 -1.454 -5.014 Te
-6.401 -0.731 -8.256 Te
-12.998 3.857 -2.406 Te
-7.309 -1.757 -2.510 Te
-9.330 4.659 -0.763 Te
-16.578 2.989 -0.626 Te
-12.090 4.883 -8.153 Te
-12.192 7.434 -0.659 Te
-12.781 6.935 -4.859 Te
-9.037 7.902 -4.095 Te
-3.348 2.288 -4.198 Te
-13.784 0.144 -0.682 Te
-9.944 4.136 -4.911 Te
-8.466 8.355 0.154 Te
-14.314 5.183 4.765 Te
-11.457 2.401 4.770 Te
-10.979 -2.624 -0.733 Te
-8.653 -0.366 4.719 Te
-5.646 5.571 0.103 Te
-2.825 2.788 0.051 Te
-8.097 -5.380 -0.780 Te
-7.117 1.345 -4.962 Te
-5.834 -3.186 4.610 Te
-0.560 -0.490 -4.224 Te
-4.517 -4.529 -2.589 Te
-3.712 -0.935 -0.814 Te
-9.288 2.033 -8.222 Te
-10.142 1.061 -2.397 Te
```

Calculated values
E_form: -1.19 eV per atom
Energy with MP2020 corrections: -6.498 eV/atom
V: 1720 Å³/cell

---

The following is a PBE calculation of a relaxed Rb3Th crystal, from the Materials Project.

Cell and atoms, written as POSCAR:
```
Rb3Th
1.0
6.266 0.000 0.000
0.000 6.266 0.000
0.000 0.000 6.266
Th Rb
1 3
Cartesian
0.000 0.000 0.000 Th
3.133 3.133 0.000 Rb
0.000 3.133 3.133 Rb
3.133 0.000 3.133 Rb
```

Calculated values
E_form: 1.04 eV per atom
ΔE to the lowest computed polymorph: 37 meV per atom
V: 246 Å³/cell

---

The following is a PBE calculation of a relaxed Rb3Th crystal, from the Materials Project.

Cell and atoms, written as POSCAR:
```
Rb3Th
1.0
0.000 5.010 5.010
5.010 0.000 5.010
5.010 5.010 0.000
Rb Th
3 1
Cartesian
2.505 2.505 2.505 Rb
7.515 7.515 7.515 Rb
5.010 5.010 5.010 Rb
0.000 0.000 0.000 Th
```

Calculated values
E_form: 1.00 eV per atom
ΔE to the lowest computed polymorph: 0 meV per atom
V: 251 Å³/cell

---

The following is a PBE calculation of a relaxed Rb5Tl9 crystal, from the Materials Project.

Cell and atoms, written as POSCAR:
```
Rb5Tl9
1.0
5.295 -9.171 0.000
5.295 9.171 0.000
0.000 0.000 18.211
Tl Rb
27 15
Cartesian
7.577 0.000 1.656 Tl
3.276 5.674 7.287 Tl
0.000 0.000 2.724 Tl
4.174 7.230 0.000 Tl
5.936 4.902 9.106 Tl
3.276 -5.674 7.287 Tl
1.507 2.609 1.656 Tl
5.936 -4.902 9.106 Tl
1.507 -2.609 1.656 Tl
4.038 0.000 7.287 Tl
3.276 5.674 10.924 Tl
5.295 -3.057 11.933 Tl
3.377 2.690 9.106 Tl
5.295 3.057 11.933 Tl
0.000 0.000 15.487 Tl
4.174 -7.230 0.000 Tl
1.507 2.609 16.555 Tl
6.572 -1.579 9.106 Tl
2.241 0.000 0.000 Tl
7.577 0.000 16.555 Tl
5.295 -3.057 6.278 Tl
6.572 1.579 9.106 Tl
3.276 -5.674 10.924 Tl
3.377 -2.690 9.106 Tl
1.507 -2.609 16.555 Tl
5.295 3.057 6.278 Tl
4.038 0.000 10.924 Tl
4.103 0.000 3.339 Rb
3.243 5.618 14.872 Rb
1.435 -2.485 5.671 Rb
5.295 -3.057 0.000 Rb
5.295 3.057 0.000 Rb
0.000 0.000 9.106 Rb
1.435 2.485 5.671 Rb
3.243 5.618 3.339 Rb
1.435 -2.485 12.540 Rb
4.103 0.000 14.872 Rb
3.243 -5.618 3.339 Rb
3.243 -5.618 14.872 Rb
7.720 0.000 5.671 Rb
7.720 0.000 12.540 Rb
1.435 2.485 12.540 Rb
```

Calculated values
E_form: -0.12 eV per atom
V: 1769 Å³/cell

---

The following is a PBE calculation of a relaxed Rb8Tl11 crystal, from the Materials Project.

Cell and atoms, written as POSCAR:
```
Rb8Tl11
1.0
18.176 -5.297 0.000
18.176 5.297 0.000
16.632 0.000 9.045
Tl Rb
22 16
Cartesian
12.919 -1.122 4.176 Tl
40.064 1.122 4.869 Tl
39.737 -2.243 6.784 Tl
13.573 -1.122 0.346 Tl
42.425 0.000 7.242 Tl
28.707 1.463 8.377 Tl
37.049 0.000 6.325 Tl
13.246 2.243 2.261 Tl
20.391 3.835 3.854 Tl
29.785 2.236 2.061 Tl
29.359 -3.699 4.559 Tl
39.410 1.122 8.698 Tl
10.558 0.000 1.802 Tl
21.043 -1.599 0.037 Tl
24.276 -1.463 0.668 Tl
23.624 3.699 4.486 Tl
33.057 2.236 2.461 Tl
23.197 -2.236 6.983 Tl
19.925 -2.236 6.584 Tl
31.940 1.599 9.008 Tl
15.933 0.000 2.720 Tl
32.591 -3.835 5.190 Tl
22.314 0.000 3.809 Rb
33.748 -1.734 8.239 Rb
18.365 1.248 5.898 Rb
27.550 3.563 5.328 Rb
30.668 0.000 5.235 Rb
34.112 2.982 6.108 Rb
19.234 1.734 0.806 Rb
18.871 -2.982 2.937 Rb
25.433 -3.563 3.717 Rb
48.806 0.000 8.332 Rb
27.186 -2.315 7.459 Rb
4.177 0.000 0.713 Rb
25.796 2.315 1.586 Rb
28.225 -1.248 1.375 Rb
24.758 1.248 7.669 Rb
34.618 -1.248 3.147 Rb
```

Calculated values
E_form: -0.13 eV per atom
V: 1742 Å³/cell

---

The following is a PBE calculation of a relaxed RbTl3 crystal, from the Materials Project.

Cell and atoms, written as POSCAR:
```
RbTl3
1.0
-1.770 4.794 -6.588
-4.477 -6.877 1.474
-3.424 2.875 3.011
Tl Rb
6 2
Cartesian
-6.017 -1.732 -2.776 Tl
-4.966 -4.578 1.135 Tl
-4.704 5.369 -3.237 Tl
-2.308 -0.495 0.260 Tl
-7.362 1.286 -2.362 Tl
-3.654 2.523 0.674 Tl
-3.528 1.622 -3.148 Rb
-6.143 -0.831 1.046 Rb
```

Calculated values
E_form: -0.07 eV per atom
V: 324 Å³/cell

---

The following is a PBE calculation of a relaxed RbTl3 crystal, from the Materials Project.

Cell and atoms, written as POSCAR:
```
RbTl3
1.0
0.000 4.118 4.118
4.118 0.000 4.118
4.118 4.118 0.000
Tl Rb
3 1
Cartesian
2.059 2.059 2.059 Tl
6.177 6.177 6.177 Tl
4.118 4.118 4.118 Tl
0.000 0.000 0.000 Rb
```

Calculated values
E_form: -0.01 eV per atom
V: 140 Å³/cell

---

The following is a PBE calculation of a relaxed Rb3Tm crystal, from the Materials Project.

Cell and atoms, written as POSCAR:
```
Rb3Tm
1.0
0.000 5.092 5.092
5.092 0.000 5.092
5.092 5.092 0.000
Tm Rb
1 3
Cartesian
0.000 0.000 0.000 Tm
7.637 7.637 7.637 Rb
5.092 5.092 5.092 Rb
2.546 2.546 2.546 Rb
```

Calculated values
E_form: 0.63 eV per atom
ΔE to the lowest computed polymorph: 0 meV per atom
V: 264 Å³/cell

---

The following is a PBE calculation of a relaxed Rb3Tm crystal, from the Materials Project.

Cell and atoms, written as POSCAR:
```
Rb3Tm
1.0
6.415 0.000 0.000
0.000 6.415 0.000
0.000 0.000 6.415
Rb Tm
3 1
Cartesian
0.000 3.207 3.207 Rb
3.207 3.207 0.000 Rb
3.207 0.000 3.207 Rb
0.000 0.000 0.000 Tm
```

Calculated values
E_form: 0.63 eV per atom
ΔE to the lowest computed polymorph: 6 meV per atom
V: 264 Å³/cell

---

The following is a PBE calculation of a relaxed Rb3Tm crystal, from the Materials Project.

Cell and atoms, written as POSCAR:
```
Rb3Tm
1.0
2.509 -1.030 7.490
-5.329 -3.919 4.438
3.285 -1.387 -7.124
Rb Tm
3 1
Cartesian
-1.410 -2.475 5.964 Rb
-1.727 -3.891 1.639 Rb
2.192 -2.446 3.165 Rb
0.000 0.000 0.000 Tm
```

Calculated values
E_form: 0.63 eV per atom
ΔE to the lowest computed polymorph: 7 meV per atom
V: 261 Å³/cell

---

The following is a PBE calculation of a relaxed RbU3 crystal, from the Materials Project.

Cell and atoms, written as POSCAR:
```
RbU3
1.0
-4.444 0.702 -0.785
-1.045 -2.544 3.646
0.123 3.727 2.636
U Rb
3 1
Cartesian
-2.745 -0.921 1.431 U
-0.461 0.592 3.141 U
-2.160 2.215 0.926 U
0.000 0.000 0.000 Rb
```

Calculated values
E_form: 1.59 eV per atom
V: 95 Å³/cell

---

The following is a PBE calculation of a relaxed Rb3V crystal, from the Materials Project.

Cell and atoms, written as POSCAR:
```
Rb3V
1.0
-4.966 -3.466 3.257
-6.093 2.978 1.139
-5.558 -2.108 -3.458
Rb V
3 1
Cartesian
-8.308 -1.298 0.469 Rb
-12.462 -1.947 0.704 Rb
-4.154 -0.649 0.235 Rb
0.000 0.000 0.000 V
```

Calculated values
E_form: 0.93 eV per atom
V: 230 Å³/cell

---

The following is a PBE calculation of a relaxed Rb3Y crystal, from the Materials Project.

Cell and atoms, written as POSCAR:
```
Rb3Y
1.0
0.000 5.109 5.109
5.109 0.000 5.109
5.109 5.109 0.000
Rb Y
3 1
Cartesian
5.109 5.109 5.109 Rb
7.663 7.663 7.663 Rb
2.554 2.554 2.554 Rb
0.000 0.000 0.000 Y
```

Calculated values
E_form: 0.63 eV per atom
V: 267 Å³/cell

---

The following is a PBE calculation of a relaxed Rb3Y crystal, from the Materials Project.

Cell and atoms, written as POSCAR:
```
Rb3Y
1.0
-0.932 4.611 6.515
-7.467 2.882 0.719
3.044 -7.332 -1.245
Rb Y
3 1
Cartesian
-4.311 -0.352 1.546 Rb
-4.199 3.746 3.617 Rb
-1.044 0.513 4.444 Rb
0.000 0.000 0.000 Y
```

Calculated values
E_form: 0.62 eV per atom
V: 265 Å³/cell